1.
A relaxed SmLu3 crystal. Source: the Materials Project, functional PBE-GGA.

```
SmLu3
1.0
3.564 -6.174 0.000
3.564 6.174 0.000
0.000 0.000 5.573
Lu Sm
6 2
Cartesian
3.564 4.138 1.393 Lu
1.763 -1.018 4.180 Lu
3.564 -4.138 4.180 Lu
5.366 1.018 1.393 Lu
5.366 -1.018 4.180 Lu
1.763 1.018 1.393 Lu
3.564 -2.058 1.393 Sm
3.564 2.058 4.180 Sm
```

Values from the calculation:
- E_form: 7 meV per atom
- Crystal system: hexagonal
- V: 30.660 Å³ per atom

***

2.
A relaxed SmLuTl2 crystal. Source: the Materials Project, functional PBE-GGA.

```
SmLuTl2
1.0
0.000 3.800 3.800
3.800 0.000 3.800
3.800 3.800 0.000
Tl Sm Lu
2 1 1
Cartesian
5.701 5.701 5.701 Tl
1.900 1.900 1.900 Tl
0.000 0.000 0.000 Sm
3.800 3.800 3.800 Lu
```

Values from the calculation:
- E_form: -317 meV per atom
- Crystal system: cubic
- V: 27.445 Å³ per atom